Record 1
# CsLi2Br3

Crystalline CsLi2Br3 at its relaxed geometry (meta-GGA r2SCAN, the Materials Project).

Its crystal system is orthorhombic. For the formation energy from the elements, the calculation gives -1.847 eV/atom. The total energy comes out at -161.5 eV for the cell shown. The density is 3.69 Mg/m³. The value obtained for the total magnetization is 0.00 μB per formula unit.

```
data_CsLi2Br3
_cell_length_a 4.6636
_cell_length_b 5.6443
_cell_length_c 13.2264
_cell_angle_alpha 90.00
_cell_angle_beta 90.00
_cell_angle_gamma 90.00
_symmetry_space_group_name_H-M 'I m m m'
_symmetry_Int_Tables_number 71
_symmetry_space_group_name_Hall '-I 2 2'
loop_
_atom_site_label
_atom_site_fract_x
_atom_site_fract_y
_atom_site_fract_z
Cs1 0.0000 0.0000 0.0000
Li1 0.0000 0.0000 0.3087
Br1 0.0000 0.0000 0.5000
Br2 0.0000 0.5000 0.2791
```

=====

Record 2
# CsLiBr2

Crystalline CsLiBr2 at its relaxed geometry (meta-GGA r2SCAN, the Materials Project).

Its crystal system is tetragonal. For the formation energy from the elements, the calculation gives -1.898 eV/atom. The total energy comes out at -123.2 eV for the cell shown. The density is 3.73 Mg/m³. The value obtained for the total magnetization is 0.00 μB per formula unit.

```
data_CsLiBr2
_cell_length_a 5.1812
_cell_length_b 5.1812
_cell_length_c 9.9301
_cell_angle_alpha 90.00
_cell_angle_beta 90.00
_cell_angle_gamma 90.00
_symmetry_space_group_name_H-M 'P 4/n m m'
_symmetry_Int_Tables_number 129
loop_
_symmetry_equiv_pos_as_xyz
'x,y,z'
'-x,-y,-z'
'-y+1/2,x,z'
'y+1/2,-x,-z'
'-x+1/2,-y+1/2,z'
'x+1/2,y+1/2,-z'
'y,-x+1/2,z'
'-y,x+1/2,-z'
'x+1/2,-y,-z'
'-x+1/2,y,z'
'-y,-x,-z'
'y,x,z'
'-x,y+1/2,-z'
'x,-y+1/2,z'
'y+1/2,x+1/2,-z'
'-y+1/2,-x+1/2,z'
loop_
_atom_site_label
_atom_site_fract_x
_atom_site_fract_y
_atom_site_fract_z
Cs1 0.2500 0.2500 0.2000
Li1 0.2500 0.2500 0.5825
Br1 0.2500 0.2500 0.8341
Br2 0.2500 0.7500 0.5000
```

=====

Record 3
# Cs2LiYBr6

Crystalline Cs2LiYBr6 at its relaxed geometry (meta-GGA r2SCAN, the Materials Project).

Its crystal system is cubic. For the formation energy from the elements, the calculation gives -2.094 eV/atom. The total energy comes out at -693.6 eV for the cell shown. The density is 4.11 Mg/m³. The value obtained for the total magnetization is 0.00 μB per formula unit.

```
data_Cs2LiYBr6
_cell_length_a 11.0752
_cell_length_b 11.0752
_cell_length_c 11.0752
_cell_angle_alpha 90.00
_cell_angle_beta 90.00
_cell_angle_gamma 90.00
_symmetry_space_group_name_H-M 'F m -3 m'
_symmetry_Int_Tables_number 225
_symmetry_space_group_name_Hall '-F 4 2 3'
loop_
_atom_site_label
_atom_site_fract_x
_atom_site_fract_y
_atom_site_fract_z
Cs1 0.2500 0.2500 0.2500
Li1 0.0000 0.0000 0.0000
Y1 0.0000 0.0000 0.5000
Br1 0.0000 0.0000 0.2484
```